# r2SCAN K3FeSe3, optimized geometry
data_K3FeSe3
_chemical_formula_sum 'K12 Fe4 Se12'
_space_group_name_H-M_alt 'P 1 21/c 1'
_space_group_IT_number 14
_cell_length_a 8.0526
_cell_length_b 12.9690
_cell_length_c 10.5407
_cell_angle_alpha 90.00
_cell_angle_beta 127.49
_cell_angle_gamma 90.00
loop_
_space_group_symop_operation_xyz
'x,y,z'
'-x,-y,-z'
'-x,y+1/2,-z+1/2'
'x,-y+1/2,z+1/2'
loop_
_atom_site_label
_atom_site_type_symbol
_atom_site_fract_x
_atom_site_fract_y
_atom_site_fract_z
K1 K 0.1252 0.1258 0.4755
K2 K 0.1485 0.0806 0.8928
K3 K 0.3710 0.6902 0.5831
Fe1 Fe 0.4367 0.0596 0.3383
Se1 Se 0.1482 0.1745 0.1854
Se2 Se 0.3488 0.6124 0.8774
Se3 Se 0.3716 0.5492 0.2635
# - Calculated total energy: -11.88 eV per atom
# - Magnetization: 0.71 μB per atom

***

# r2SCAN K3Fe2Se4, optimized geometry
data_K3Fe2Se4
_chemical_formula_sum 'K12 Fe8 Se16'
_space_group_name_H-M_alt 'P n m a'
_space_group_IT_number 62
_cell_length_a 7.4745
_cell_length_b 11.3888
_cell_length_c 12.0864
_cell_angle_alpha 90.00
_cell_angle_beta 90.00
_cell_angle_gamma 90.00
loop_
_space_group_symop_operation_xyz
'x,y,z'
'-x,-y,-z'
'-x+1/2,-y,z+1/2'
'x+1/2,y,-z+1/2'
'x+1/2,-y+1/2,-z+1/2'
'-x+1/2,y+1/2,z+1/2'
'-x,y+1/2,-z'
'x,-y+1/2,z'
loop_
_atom_site_label
_atom_site_type_symbol
_atom_site_fract_x
_atom_site_fract_y
_atom_site_fract_z
K1 K 0.0762 0.0698 0.1360
K2 K 0.0889 0.2500 0.7651
Fe1 Fe 0.0515 0.1333 0.4684
Se1 Se 0.0912 0.7500 0.6729
Se2 Se 0.1549 0.5574 0.3902
Se3 Se 0.1940 0.7500 0.0326
# - Calculated total energy: -12.57 eV per atom
# - Magnetization: 1.00 μB per atom

***

# r2SCAN La7SmMn7FeO24, optimized geometry
data_La7SmMn7FeO24
_chemical_formula_sum 'La21 Sm3 Mn21 Fe3 O72'
_space_group_name_H-M_alt 'R 3 m'
_space_group_IT_number 160
_space_group_name_Hall 'R 3 -2"'
_cell_length_a 10.9677
_cell_length_b 10.9677
_cell_length_c 13.4717
_cell_angle_alpha 90.00
_cell_angle_beta 90.00
_cell_angle_gamma 120.00
loop_
_atom_site_label
_atom_site_type_symbol
_atom_site_fract_x
_atom_site_fract_y
_atom_site_fract_z
La1 La 0.0000 0.0000 0.0000
La2 La 0.0021 0.5011 0.0018
La3 La 0.1680 0.3360 0.8348
Sm1 Sm 0.0000 0.0000 0.5030
Mn1 Mn 0.0000 0.0000 0.7509
Mn2 Mn 0.0008 0.5004 0.2514
Mn3 Mn 0.1671 0.3343 0.0851
Fe1 Fe 0.0000 0.0000 0.2522
O1 O 0.9995 0.2475 0.5015
O2 O 0.0005 0.2508 0.0017
O3 O 0.0827 0.1655 0.6662
O4 O 0.0849 0.1699 0.1669
O5 O 0.1674 0.0837 0.8350
O6 O 0.1679 0.0840 0.3381
# - Calculated total energy: -15.43 eV per atom
# - Magnetization: 0.77 μB per atom

***

# r2SCAN LaFe4P12, optimized geometry
data_LaFe4P12
_chemical_formula_sum 'La2 Fe8 P24'
_space_group_name_H-M_alt 'I m -3'
_space_group_IT_number 204
_space_group_name_Hall '-I 2 2 3'
_cell_length_a 7.7928
_cell_length_b 7.7928
_cell_length_c 7.7928
_cell_angle_alpha 90.00
_cell_angle_beta 90.00
_cell_angle_gamma 90.00
loop_
_atom_site_label
_atom_site_type_symbol
_atom_site_fract_x
_atom_site_fract_y
_atom_site_fract_z
La1 La 0.0000 0.0000 0.0000
Fe1 Fe 0.2500 0.2500 0.2500
P1 P 0.0000 0.3541 0.1515
# - Calculated total energy: -12.04 eV per atom
# - Magnetization: 0.00 μB per atom

***

# r2SCAN LaFe4Sb12, optimized geometry
data_LaFe4Sb12
_chemical_formula_sum 'La2 Fe8 Sb24'
_space_group_name_H-M_alt 'I m -3'
_space_group_IT_number 204
_space_group_name_Hall '-I 2 2 3'
_cell_length_a 9.1388
_cell_length_b 9.1388
_cell_length_c 9.1388
_cell_angle_alpha 90.00
_cell_angle_beta 90.00
_cell_angle_gamma 90.00
loop_
_atom_site_label
_atom_site_type_symbol
_atom_site_fract_x
_atom_site_fract_y
_atom_site_fract_z
La1 La 0.0000 0.0000 0.0000
Fe1 Fe 0.2500 0.2500 0.2500
Sb1 Sb 0.0000 0.3357 0.1626
# - Calculated total energy: -23.42 eV per atom
# - Magnetization: 0.06 μB per atom

***

# r2SCAN LaFeSi, optimized geometry
data_LaFeSi
_chemical_formula_sum 'La2 Fe2 Si2'
_space_group_name_H-M_alt 'P 4/n m m'
_space_group_IT_number 129
_cell_length_a 4.1404
_cell_length_b 4.1404
_cell_length_c 7.3063
_cell_angle_alpha 90.00
_cell_angle_beta 90.00
_cell_angle_gamma 90.00
loop_
_space_group_symop_operation_xyz
'x,y,z'
'-x,-y,-z'
'-y+1/2,x,z'
'y+1/2,-x,-z'
'-x+1/2,-y+1/2,z'
'x+1/2,y+1/2,-z'
'y,-x+1/2,z'
'-y,x+1/2,-z'
'x+1/2,-y,-z'
'-x+1/2,y,z'
'-y,-x,-z'
'y,x,z'
'-x,y+1/2,-z'
'x,-y+1/2,z'
'y+1/2,x+1/2,-z'
'-y+1/2,-x+1/2,z'
loop_
_atom_site_label
_atom_site_type_symbol
_atom_site_fract_x
_atom_site_fract_y
_atom_site_fract_z
La1 La 0.2500 0.2500 0.1881
Fe1 Fe 0.2500 0.7500 0.5000
Si1 Si 0.2500 0.2500 0.6657
# - Calculated total energy: -18.06 eV per atom
# - Magnetization: 0.62 μB per atom

***

# r2SCAN LaFeSi2, optimized geometry
data_LaFeSi2
_chemical_formula_sum 'La4 Fe4 Si8'
_space_group_name_H-M_alt 'C m c m'
_space_group_IT_number 63
_space_group_name_Hall '-C 2c 2'
_cell_length_a 4.1634
_cell_length_b 17.1163
_cell_length_c 4.0416
_cell_angle_alpha 90.00
_cell_angle_beta 90.00
_cell_angle_gamma 90.00
loop_
_atom_site_label
_atom_site_type_symbol
_atom_site_fract_x
_atom_site_fract_y
_atom_site_fract_z
La1 La 0.0000 0.1086 0.2500
Fe1 Fe 0.0000 0.2502 0.7500
Si1 Si 0.0000 0.3081 0.2500
Si2 Si 0.0000 0.4624 0.2500
# - Calculated total energy: -15.97 eV per atom
# - Magnetization: 0.00 μB per atom

***

# r2SCAN Li3FeN2, optimized geometry
data_Li3FeN2
_chemical_formula_sum 'Li12 Fe4 N8'
_space_group_name_H-M_alt 'C 1 2/m 1'
_space_group_IT_number 12
_cell_length_a 10.6193
_cell_length_b 4.7544
_cell_length_c 4.8186
_cell_angle_alpha 90.00
_cell_angle_beta 115.60
_cell_angle_gamma 90.00
loop_
_space_group_symop_operation_xyz
'x,y,z'
'-x,-y,-z'
'-x,y,-z'
'x,-y,z'
'x+1/2,y+1/2,z'
'-x+1/2,-y+1/2,-z'
'-x+1/2,y+1/2,-z'
'x+1/2,-y+1/2,z'
loop_
_atom_site_label
_atom_site_type_symbol
_atom_site_fract_x
_atom_site_fract_y
_atom_site_fract_z
Li1 Li 0.0000 0.2494 0.0000
Li2 Li 0.2421 0.2484 0.2416
Fe1 Fe 0.0000 0.2462 0.5000
N1 N 0.1134 0.5000 0.3901
N2 N 0.1170 0.0000 0.8434
# - Calculated total energy: -7.12 eV per atom
# - Magnetization: 0.50 μB per atom